Record 1
A plane-wave DFT calculation with r2SCAN was carried out for crystalline ErTl3 at its relaxed geometry.

Values from the calculation:
E_form: -248 meV per atom
Total magnetization: 0.00 μB/cell
Space-group type: Pm-3m (221)
E: -48.614 eV per atom

```
4
Lattice="4.7013 0.0000 0.0000 0.0000 4.7013 0.0000 0.0000 0.0000 4.7013" Properties=species:S:1:pos:R:3 pbc="T T T"
Er 0.0000 0.0000 0.0000
Tl 0.0000 2.3507 2.3507
Tl 2.3507 0.0000 2.3507
Tl 2.3507 2.3507 0.0000
```

Record 2
A plane-wave DFT calculation with r2SCAN was carried out for crystalline Er3Tm at its relaxed geometry.

Values from the calculation:
E_form: -10 meV per atom
Total magnetization: 5.07 μB/cell
Space-group type: P6_3/mmc (194)
E: -34.234 eV per atom

```
8
Lattice="7.0897 0.0000 0.0000 -3.5448 6.1398 0.0000 0.0000 0.0000 5.6934" Properties=species:S:1:pos:R:3 pbc="T T T"
Er 0.0000 2.0494 1.4234
Er -1.7700 5.1152 1.4234
Er 1.7748 1.0247 4.2701
Er 1.7700 5.1152 1.4234
Er 5.3149 1.0247 4.2701
Er 3.5448 4.0905 4.2701
Tm 0.0000 4.0932 4.2701
Tm 3.5448 2.0466 1.4234
```

Record 3
A plane-wave DFT calculation with r2SCAN was carried out for crystalline ErTm3 at its relaxed geometry.

Values from the calculation:
E_form: -18 meV per atom
Total magnetization: 5.13 μB/cell
Space-group type: P6_3/mmc (194)
E: -34.840 eV per atom

```
8
Lattice="7.0638 0.0000 0.0000 -3.5319 6.1175 0.0000 0.0000 0.0000 5.6857" Properties=species:S:1:pos:R:3 pbc="T T T"
Er 0.0000 4.0783 1.4214
Er 3.5319 2.0392 4.2642
Tm 0.0000 2.0363 4.2642
Tm -1.7684 5.0993 4.2642
Tm 1.7635 1.0181 1.4214
Tm 1.7684 5.0993 4.2642
Tm 5.3004 1.0181 1.4214
Tm 3.5319 4.0812 1.4214
```

Record 4
A plane-wave DFT calculation with r2SCAN was carried out for crystalline YEr at its relaxed geometry.

Values from the calculation:
E_form: 2 meV per atom
Total magnetization: 1.28 μB/cell
Space-group type: P-6m2 (187)
E: -27.117 eV per atom

```
2
Lattice="3.5988 0.0000 0.0000 -1.7994 3.1167 0.0000 0.0000 0.0000 5.7827" Properties=species:S:1:pos:R:3 pbc="T T T"
Y 0.0000 0.0000 0.0000
Er 0.0000 2.0778 2.8913
```

Record 5
A plane-wave DFT calculation with r2SCAN was carried out for crystalline YErZn2 at its relaxed geometry.

Values from the calculation:
E_form: -383 meV per atom
Total magnetization: 0.00 μB/cell
Space-group type: R-3m (166)
E: -18.398 eV per atom

```
4
Lattice="2.5042 1.4458 4.0821 -2.5042 1.4458 4.0821 0.0000 -2.8916 4.0821" Properties=species:S:1:pos:R:3 pbc="T T T"
Y 0.0000 0.0000 0.0000
Er 0.0000 0.0000 6.1231
Zn 0.0000 0.0000 3.0621
Zn 0.0000 0.0000 9.1841
```

Record 6
A plane-wave DFT calculation with r2SCAN was carried out for crystalline Er6Zn23 at its relaxed geometry.

Values from the calculation:
E_form: -343 meV per atom
Total magnetization: 0.00 μB/cell
Space-group type: Fm-3m (225)
E: -14.429 eV per atom

```
29
Lattice="0.0000 6.2392 6.2392 6.2392 0.0000 6.2392 6.2392 6.2392 0.0000" Properties=species:S:1:pos:R:3 pbc="T T T"
Er 6.2392 6.2392 2.5755
Er 6.2392 2.5755 6.2392
Er 9.9028 6.2392 6.2392
Er 2.5755 6.2392 6.2392
Er 6.2392 9.9028 6.2392
Er 6.2392 6.2392 9.9028
Zn 3.1196 3.1196 0.0000
Zn 3.1196 0.0000 3.1196
Zn 6.2392 3.1196 3.1196
Zn 7.7725 4.7058 4.7058
Zn 2.1409 2.1409 2.1409
Zn 4.0983 4.0983 2.1409
Zn 4.0983 2.1409 4.0983
Zn 4.7058 4.7058 4.7058
Zn 7.7725 7.7725 4.7058
Zn 7.7725 4.7058 7.7725
Zn 2.1409 4.0983 4.0983
Zn 0.0000 3.1196 3.1196
Zn 3.1196 6.2392 3.1196
Zn 3.1196 3.1196 6.2392
Zn 6.2392 6.2392 6.2392
Zn 10.3374 8.3800 8.3800
Zn 4.7058 7.7725 4.7058
Zn 4.7058 4.7058 7.7725
Zn 7.7725 7.7725 7.7725
Zn 8.3800 10.3374 8.3800
Zn 8.3800 8.3800 10.3374
Zn 10.3374 10.3374 10.3374
Zn 4.7058 7.7725 7.7725
```

Record 7
A plane-wave DFT calculation with r2SCAN was carried out for crystalline ErZn5 at its relaxed geometry.

Values from the calculation:
E_form: -315 meV per atom
Total magnetization: 0.00 μB/cell
Space-group type: P6/mmm (191)
E: -13.394 eV per atom

```
6
Lattice="5.2025 0.0000 0.0000 -2.6013 4.5055 0.0000 0.0000 0.0000 4.1726" Properties=species:S:1:pos:R:3 pbc="T T T"
Er 0.0000 0.0000 0.0000
Zn -1.3006 2.2528 2.0863
Zn 0.0000 3.0037 0.0000
Zn 2.6013 0.0000 2.0863
Zn 1.3006 2.2528 2.0863
Zn 2.6013 1.5018 0.0000
```

Record 8
A plane-wave DFT calculation with r2SCAN was carried out for crystalline ErZn12 at its relaxed geometry.

Values from the calculation:
E_form: -194 meV per atom
Total magnetization: 0.00 μB/cell
Space-group type: I4/mmm (139)
E: -11.029 eV per atom

```
13
Lattice="-4.3801 4.3801 2.5398 4.3801 -4.3801 2.5398 4.3801 4.3801 -2.5398" Properties=species:S:1:pos:R:3 pbc="T T T"
Er 0.0000 0.0000 0.0000
Zn 2.1901 2.1901 -1.2699
Zn 3.0973 0.0000 0.0000
Zn 2.1901 -2.1901 1.2699
Zn 5.6629 0.0000 0.0000
Zn 4.3801 2.4894 0.0000
Zn 0.0000 3.0973 0.0000
Zn -2.1901 2.1901 1.2699
Zn 2.4894 4.3801 0.0000
Zn 2.1901 2.1901 1.2699
Zn 1.8907 0.0000 2.5398
Zn 0.0000 5.6629 0.0000
Zn 0.0000 1.8907 2.5398
```

Record 9
A plane-wave DFT calculation with r2SCAN was carried out for crystalline ErZn5 at its relaxed geometry.

Values from the calculation:
E_form: -307 meV per atom
Total magnetization: 0.00 μB/cell
Space-group type: P6_3/mmc (194)
E: -13.387 eV per atom

```
36
Lattice="8.7467 0.0000 0.0000 -4.3733 7.5748 0.0000 0.0000 0.0000 8.9074" Properties=species:S:1:pos:R:3 pbc="T T T"
Er 0.0000 2.8638 2.2268
Er -1.8932 6.1430 2.2268
Er 2.4801 1.4319 6.6805
Er 1.8932 6.1430 2.2268
Er 6.2666 1.4319 6.6805
Er 4.3733 4.7111 6.6805
Zn 0.0000 0.0000 0.0000
Zn 0.0000 0.0000 4.4537
Zn -2.1867 3.7874 0.0000
Zn -2.1867 3.7874 4.4537
Zn -1.2944 4.3026 6.6805
Zn 0.0000 2.4409 5.2776
Zn 0.0000 2.4409 8.0834
Zn -2.2594 6.3544 5.2776
Zn -2.2594 6.3544 8.0834
Zn 2.1139 1.2205 0.8240
Zn 2.1139 1.2205 3.6297
Zn 0.0000 5.0499 0.1454
Zn 0.0000 5.0499 4.3083
Zn 1.2944 4.3026 6.6805
Zn 0.0000 6.5445 6.6805
Zn 4.3733 0.0000 0.0000
Zn 4.3733 0.0000 4.4537
Zn 2.1867 3.7874 0.0000
Zn 2.1867 3.7874 4.4537
Zn 4.3733 1.0303 2.2268
Zn 3.0789 3.2723 2.2268
Zn 4.3733 2.5249 4.5991
Zn 4.3733 2.5249 8.7620
Zn 2.2594 6.3544 5.2776
Zn 2.2594 6.3544 8.0834
Zn 6.6328 1.2205 0.8240
Zn 6.6328 1.2205 3.6297
Zn 4.3733 5.1339 0.8240
Zn 4.3733 5.1339 3.6297
Zn 5.6677 3.2723 2.2268
```

Record 10
A plane-wave DFT calculation with r2SCAN was carried out for crystalline Eu at its relaxed geometry.

Values from the calculation:
E_form: 88 meV per atom
Total magnetization: 47.99 μB/cell
Space-group type: C2/c (15)
E: -38.432 eV per atom

```
6
Lattice="4.0538 -5.8907 0.0000 4.0538 5.8907 0.0000 -3.6200 0.0000 5.5521" Properties=species:S:1:pos:R:3 pbc="T T T"
Eu -1.1271 1.0974 5.1993
Eu 1.3388 3.6989 4.1640
Eu 0.6829 -1.0974 2.4232
Eu 3.8047 1.0974 3.1288
Eu 3.1488 -3.6989 1.3880
Eu 5.6147 -1.0974 0.3528
```

Record 11
A plane-wave DFT calculation with r2SCAN was carried out for crystalline Eu at its relaxed geometry.

Values from the calculation:
E_form: 31 meV per atom
Total magnetization: 8.20 μB/cell
Space-group type: Fm-3m (225)
E: -38.490 eV per atom

```
1
Lattice="0.0000 2.7893 2.7893 2.7893 0.0000 2.7893 2.7893 2.7893 0.0000" Properties=species:S:1:pos:R:3 pbc="T T T"
Eu 0.0000 0.0000 0.0000
```

Record 12
A plane-wave DFT calculation with r2SCAN was carried out for crystalline Eu at its relaxed geometry.

Values from the calculation:
E_form: 41 meV per atom
Total magnetization: 7.68 μB/cell
Space-group type: Im-3m (229)
E: -38.479 eV per atom

```
1
Lattice="-2.2438 2.2438 2.2438 2.2438 -2.2438 2.2438 2.2438 2.2438 -2.2438" Properties=species:S:1:pos:R:3 pbc="T T T"
Eu 0.0000 0.0000 0.0000
```

Record 13
A plane-wave DFT calculation with r2SCAN was carried out for crystalline Eu at its relaxed geometry.

Values from the calculation:
E_form: 0 meV per atom
Total magnetization: 16.10 μB/cell
Space-group type: Cmcm (63)
E: -38.521 eV per atom

```
2
Lattice="1.9971 -3.4797 0.0000 1.9971 3.4797 0.0000 0.0000 0.0000 6.3407" Properties=species:S:1:pos:R:3 pbc="T T T"
Eu 1.9971 2.3444 4.7555
Eu 1.9971 -2.3444 1.5852
```

Record 14
A plane-wave DFT calculation with r2SCAN was carried out for crystalline Eu at its relaxed geometry.

Values from the calculation:
E_form: 12 meV per atom
Total magnetization: 32.30 μB/cell
Space-group type: P-6m2 (187)
E: -38.509 eV per atom

```
4
Lattice="3.9831 0.0000 0.0000 -1.9915 3.4495 0.0000 0.0000 0.0000 12.7662" Properties=species:S:1:pos:R:3 pbc="T T T"
Eu 0.0000 0.0000 0.0000
Eu 0.0000 2.2996 3.1886
Eu 0.0000 2.2996 9.5776
Eu 1.9916 1.1498 6.3831
```

Record 15
A plane-wave DFT calculation with r2SCAN was carried out for crystalline EuF2 at its relaxed geometry.

Values from the calculation:
E_form: -4094 meV per atom
Total magnetization: 7.00 μB/cell
Space-group type: Fm-3m (225)
E: -19.018 eV per atom

```
3
Lattice="0.0000 2.9005 2.9005 2.9005 0.0000 2.9005 2.9005 2.9005 0.0000" Properties=species:S:1:pos:R:3 pbc="T T T"
Eu 0.0000 0.0000 0.0000
F 1.4502 1.4502 1.4502
F 4.3507 4.3507 4.3507
```

Record 16
A plane-wave DFT calculation with r2SCAN was carried out for crystalline EuHfF7 at its relaxed geometry.

Values from the calculation:
E_form: -3995 meV per atom
Total magnetization: 12.00 μB/cell
Space-group type: P2_1 (4)
E: -15.724 eV per atom

```
18
Lattice="6.1308 0.0000 0.0000 0.0000 5.7159 0.0000 -1.7512 0.0000 8.0748" Properties=species:S:1:pos:R:3 pbc="T T T"
Eu 0.6359 0.0000 1.5161
Eu 3.7437 2.8580 6.5587
Hf 0.6366 5.6565 5.8521
Hf 3.7431 2.7985 2.2227
F 0.2554 1.8327 0.2440
F -0.9237 1.1742 5.7776
F -0.5273 4.0347 5.7453
F 0.7366 0.0093 3.8728
F 0.5263 5.6529 7.8408
F 2.2216 1.5226 2.1845
F 2.3621 4.2384 2.1148
F 2.0175 1.3804 5.9600
F 2.1580 4.3805 5.8904
F 3.8534 2.7949 0.2340
F 3.6430 2.8673 4.2020
F 4.9070 1.1768 2.3296
F 5.3033 4.0322 2.2973
F 4.1243 4.6906 7.8308
```

Record 17
A plane-wave DFT calculation with r2SCAN was carried out for crystalline EuMoO4F at its relaxed geometry.

Values from the calculation:
E_form: -2780 meV per atom
Total magnetization: 23.97 μB/cell
Space-group type: P2_1/c (14)
E: -15.867 eV per atom

```
28
Lattice="5.2946 0.0000 0.0000 0.0000 12.4596 0.0000 -2.6406 0.0000 6.1998" Properties=species:S:1:pos:R:3 pbc="T T T"
Eu -0.0602 0.6773 1.8456
Eu -1.3805 5.5525 4.9455
Eu 4.0345 6.9070 1.2543
Eu 2.7142 11.7823 4.3542
Mo -0.0549 1.7723 5.3884
Mo 1.2654 4.4575 2.2885
Mo 1.3886 8.0021 3.9113
Mo 2.7089 10.6872 0.8114
O -1.4607 0.7877 5.9810
O -0.1404 5.4421 2.8811
O 0.3405 8.1785 2.5484
O -0.9798 10.5109 5.6483
O 0.8484 2.8391 1.7887
O -0.4719 3.3907 4.8886
O 0.8810 0.8894 4.1231
O 2.2013 5.3403 1.0232
O 0.4527 7.1192 5.1766
O 1.7730 11.5701 2.0767
O 3.1260 9.0689 1.3112
O 1.8057 9.6205 4.4111
O 3.6339 1.9487 0.5515
O 2.3136 4.2811 3.6514
O 2.7944 7.0174 3.3187
O 4.1147 11.6719 0.2188
F -2.3303 7.4626 5.9057
F -1.0100 11.2267 2.8058
F 3.6641 1.2328 3.3940
F 4.9844 4.9969 0.2941
```

Record 18
A plane-wave DFT calculation with r2SCAN was carried out for crystalline Na5Eu4Si4O16F at its relaxed geometry.

Values from the calculation:
E_form: -2918 meV per atom
Total magnetization: 24.00 μB/cell
Space-group type: I-4 (82)
E: -13.108 eV per atom

```
30
Lattice="-5.8840 5.8840 2.7361 5.8840 -5.8840 2.7361 5.8840 5.8840 -2.7361" Properties=species:S:1:pos:R:3 pbc="T T T"
Na 0.0000 0.0000 0.0000
Na 6.9198 1.2634 -0.0664
Na 1.2634 4.8482 0.0664
Na 4.6206 1.0358 2.8025
Na -1.0358 4.6206 2.6697
Eu 4.5149 3.7335 -0.1423
Eu 2.1505 -1.3691 2.8784
Eu 3.7335 7.2531 0.1423
Eu 1.3691 2.1505 2.5939
Si 2.9263 1.1950 0.0606
Si 4.6890 -2.9577 2.6756
Si 1.1950 8.8417 -0.0606
Si 2.9577 4.6890 2.7967
O 6.4604 3.6523 -1.4692
O 4.5499 1.2465 -0.0904
O 9.0384 2.4057 -0.3574
O 3.4320 5.5051 -1.3513
O 2.4520 0.3789 1.3848
O 2.4057 2.7296 0.3574
O 4.6375 -1.3341 2.8266
O -0.5764 2.2317 1.2670
O 6.2629 3.4320 1.3513
O 1.2465 7.2181 0.0904
O 3.6523 5.3076 1.4692
O -3.1544 3.4783 2.3787
O 2.2317 0.5764 4.2053
O 3.4783 3.1544 3.0935
O 1.3341 4.6375 2.6457
O -0.3789 2.4520 4.0874
F 0.0000 0.0000 2.7361
```

Record 19
A plane-wave DFT calculation with r2SCAN was carried out for crystalline EuSnF7 at its relaxed geometry.

Values from the calculation:
E_form: -3222 meV per atom
Total magnetization: 24.00 μB/cell
Space-group type: P2_1/c (14)
E: -12.683 eV per atom

```
36
Lattice="9.0481 0.0000 0.0000 0.0000 5.6165 0.0000 -5.7309 0.0000 10.7368" Properties=species:S:1:pos:R:3 pbc="T T T"
Eu 0.1779 1.3576 2.8524
Eu -2.6876 1.4507 8.2208
Eu 6.0047 4.1658 2.5160
Eu 3.1392 4.2590 7.8844
Sn 2.2173 4.1725 0.4657
Sn -0.6481 4.2523 5.8341
Sn 3.9653 1.3642 4.9027
Sn 1.0998 1.4441 10.2711
F -5.1930 4.1426 10.1669
F -2.3276 4.2822 4.7985
F -3.8721 3.3417 7.8971
F -1.0066 5.0831 2.5287
F 1.3412 3.0864 1.8700
F -1.5242 5.3385 7.2384
F 1.6453 0.1460 1.4853
F -1.2201 2.6622 6.8537
F -0.0603 0.2965 4.9214
F -2.9258 2.5118 10.2898
F 0.2107 3.1003 4.4807
F -2.6547 5.3245 9.8491
F 2.2935 1.2939 3.8620
F -0.5719 1.5144 9.2304
F 3.8891 4.1021 1.5064
F 1.0236 4.3227 6.8748
F 5.9719 0.2920 0.8877
F 3.1064 2.5162 6.2561
F 6.2429 3.1047 0.4470
F 3.3775 5.3201 5.8154
F 4.5373 2.9543 3.8831
F 1.6718 5.4705 9.2515
F 4.8414 0.2781 3.4984
F 1.9759 2.5302 8.8668
F 4.3238 0.5335 8.2081
F 7.1892 2.2748 2.8397
F 5.6447 1.3343 5.9383
F 8.5102 1.4740 0.5699
```

Record 20
A plane-wave DFT calculation with r2SCAN was carried out for crystalline EuSnF7 at its relaxed geometry.

Values from the calculation:
E_form: -3214 meV per atom
Total magnetization: 12.00 μB/cell
Space-group type: P2_1 (4)
E: -12.675 eV per atom

```
18
Lattice="6.1043 0.0000 0.0000 0.0000 5.7222 0.0000 -1.8092 0.0000 8.0347" Properties=species:S:1:pos:R:3 pbc="T T T"
Eu 0.6106 0.0000 1.5191
Eu 3.6845 2.8611 6.5157
Sn 0.5972 0.0616 5.8297
Sn 3.6979 2.9227 2.2050
F 0.2838 3.8991 0.2258
F -0.8596 4.4556 5.7142
F -0.6699 1.5787 5.6548
F 0.7506 0.0094 3.8697
F 0.4723 0.1035 7.7978
F 2.2670 1.5546 2.0783
F 2.2668 4.2791 2.1684
F 2.0283 1.4180 5.8663
F 2.0281 4.4157 5.9564
F 3.8229 2.9646 0.2369
F 3.5446 2.8705 4.1650
F 4.9650 4.4398 2.3799
F 5.1547 1.5945 2.3205
F 4.0114 1.0380 7.8089
```